(1)
Here is an optimized crystal structure of NaSc2Nb2P5SO24 from Materials Project. Energies are from GGA-PBE.

Unit cell a=8.8315 b=8.8334 c=22.9270 alpha=90.01 beta=90.13 gamma=119.93
Closest atoms and distances in Å follow each position.
Space group P1 (No. 1)
Asymmetric unit:
Na (0.0000, 0.0000, 0.0000)  6 O 2.55-2.72
Na (0.0008, 0.9990, 0.5062)  6 O 2.54-2.60
Na (0.6677, 0.3327, 0.3341)  6 O 2.54-2.73
Sc (0.0023, 0.9996, 0.3618)  6 O 2.04-2.14
Sc (0.0082, 0.0021, 0.8591)  6 O 2.00-2.13
Sc (0.0082, 0.9965, 0.6508)  6 O 2.02-2.19
Sc (0.3355, 0.6609, 0.0281)  6 O 2.02-2.16
Sc (0.6623, 0.3266, 0.6929)  6 O 2.04-2.16
Sc (0.6726, 0.3385, 0.1919)  6 O 2.01-2.14
Nb (0.3341, 0.6643, 0.3136)  6 O 1.96-2.06
Nb (0.3348, 0.6665, 0.5299)  6 O 1.95-2.02
Nb (0.3367, 0.6712, 0.8192)  6 O 1.93-2.06
Nb (0.6684, 0.3321, 0.4843)  6 O 1.96-2.05
Nb (0.6773, 0.3393, 0.9795)  5 O 1.93-2.03
Nb (0.9951, 0.9983, 0.1523)  6 O 1.97-2.13
P (0.0506, 0.3824, 0.4228)  4 O 1.52-1.57
P (0.0527, 0.6715, 0.9238)  4 O 1.50-1.59
P (0.2892, 0.2829, 0.2573)  4 O 1.51-1.58
P (0.2911, 0.9999, 0.7560)  4 O 1.52-1.60
P (0.3331, 0.3780, 0.9237)  4 O 1.51-1.58
P (0.3360, 0.9500, 0.4226)  4 O 1.52-1.57
P (0.3802, 0.3309, 0.5885)  4 O 1.51-1.58
P (0.6183, 0.6652, 0.4229)  4 O 1.52-1.57
P (0.6237, 0.9521, 0.9245)  4 O 1.50-1.58
P (0.6710, 0.6199, 0.0888)  4 O 1.50-1.60
P (0.6720, 0.0464, 0.5888)  4 O 1.51-1.59
P (0.7140, 0.0018, 0.2579)  4 O 1.51-1.59
P (0.9532, 0.6192, 0.5891)  4 O 1.50-1.58
P (0.9536, 0.3310, 0.0889)  4 O 1.50-1.60
P (0.9992, 0.7123, 0.2576)  4 O 1.51-1.58
S (0.0039, 0.2917, 0.7562)  4 O 1.46-1.52
S (0.3783, 0.0462, 0.0887)  4 O 1.46-1.53
S (0.7103, 0.7095, 0.7562)  4 O 1.46-1.52
O (0.0172, 0.8215, 0.9153)  1 P 1.52
O (0.0270, 0.8278, 0.2020)  1 P 1.57
O (0.0289, 0.2007, 0.4195)  1 P 1.52
O (0.0371, 0.2152, 0.7039)  1 S 1.48
O (0.1333, 0.4847, 0.0795)  1 P 1.50
O (0.1363, 0.4957, 0.3678)  1 P 1.55
O (0.1363, 0.6390, 0.5758)  1 P 1.57
O (0.1377, 0.6402, 0.8686)  1 P 1.57
O (0.1604, 0.6969, 0.9776)  1 P 1.50
O (0.1614, 0.4765, 0.4769)  1 P 1.54
O (0.1655, 0.4688, 0.7664)  1 S 1.52
O (0.1714, 0.1953, 0.2017)  1 P 1.58
O (0.1707, 0.6999, 0.2652)  1 P 1.58
O (0.1747, 0.9596, 0.7015)  1 P 1.54
O (0.1760, 0.9720, 0.4195)  1 P 1.52
O (0.1783, 0.1944, 0.9154)  1 P 1.52
O (0.1979, 0.1708, 0.5912)  1 P 1.52
O (0.1989, 0.0308, 0.0950)  1 S 1.53
O (0.2045, 0.0235, 0.8100)  1 P 1.52
O (0.2051, 0.1748, 0.3112)  1 P 1.51
O (0.3013, 0.4668, 0.2652)  1 P 1.58
O (0.3064, 0.4608, 0.9774)  1 P 1.51
O (0.3095, 0.8313, 0.7688)  1 P 1.60
O (0.3192, 0.8395, 0.4768)  1 P 1.54
O (0.3539, 0.8718, 0.0810)  1 S 1.46
O (0.3618, 0.4949, 0.5755)  1 P 1.56
O (0.3634, 0.4934, 0.8685)  1 P 1.56
O (0.3633, 0.8639, 0.3677)  1 P 1.55
O (0.4587, 0.1579, 0.0364)  1 S 1.49
O (0.4725, 0.3124, 0.2488)  1 P 1.52
O (0.4748, 0.1534, 0.7479)  1 P 1.52
O (0.4757, 0.3092, 0.5335)  1 P 1.58
O (0.4796, 0.1254, 0.1417)  1 S 1.46
O (0.4904, 0.3663, 0.6426)  1 P 1.51
O (0.5030, 0.3634, 0.9330)  1 P 1.58
O (0.5047, 0.6375, 0.3678)  1 P 1.55
O (0.5055, 0.1335, 0.4299)  1 P 1.57
O (0.5070, 0.8644, 0.5756)  1 P 1.57
O (0.5066, 0.8646, 0.8687)  1 P 1.58
O (0.5209, 0.6522, 0.0793)  1 P 1.50
O (0.5243, 0.6820, 0.4770)  1 P 1.54
O (0.5308, 0.6900, 0.7661)  1 S 1.52
O (0.5325, 0.8296, 0.2652)  1 P 1.57
O (0.5391, 0.8423, 0.9776)  1 P 1.50
O (0.6319, 0.4953, 0.4300)  1 P 1.57
O (0.6341, 0.1346, 0.9327)  1 P 1.58
O (0.6367, 0.1220, 0.6425)  1 P 1.51
O (0.6474, 0.5136, 0.1432)  1 P 1.51
O (0.6827, 0.1539, 0.2488)  1 P 1.52
O (0.6866, 0.5346, 0.7489)  1 S 1.46
O (0.6916, 0.1628, 0.5336)  1 P 1.59
O (0.7018, 0.5303, 0.0342)  1 P 1.58
O (0.7832, 0.8197, 0.7039)  1 S 1.48
O (0.7999, 0.8252, 0.4195)  1 P 1.52
O (0.8022, 0.9722, 0.2018)  1 P 1.59
O (0.8066, 0.9825, 0.9141)  1 P 1.52
O (0.8158, 0.7923, 0.8084)  1 S 1.47
O (0.8256, 0.0281, 0.3112)  1 P 1.51
O (0.8318, 0.0242, 0.5918)  1 P 1.52
O (0.8336, 0.2978, 0.0339)  1 P 1.58
O (0.8369, 0.5230, 0.5338)  1 P 1.58
O (0.8443, 0.8056, 0.0964)  1 P 1.60
O (0.8460, 0.5276, 0.2501)  1 P 1.52
O (0.8548, 0.3194, 0.7488)  1 S 1.46
O (0.8670, 0.3484, 0.1434)  1 P 1.51
O (0.8671, 0.3688, 0.4298)  1 P 1.57
O (0.8685, 0.4977, 0.9306)  1 P 1.59
O (0.8778, 0.5101, 0.6430)  1 P 1.50
O (0.9693, 0.1590, 0.0964)  1 P 1.60
O (0.9732, 0.8011, 0.5908)  1 P 1.53
O (0.9746, 0.7967, 0.3114)  1 P 1.51
O (0.9767, 0.1841, 0.8082)  1 S 1.47

## Properties
Calculated formation energy (meV/atom): -2921

---

(2)
Here is an optimized crystal structure of BaEuYSbO6 from Materials Project. Energies are from GGA-PBE.

Unit cell a=5.9591 b=5.9740 c=8.4351 alpha=90.21 beta=90.18 gamma=90.29
Closest atoms and distances in Å follow each position.
Space group P-1 (No. 2)
Asymmetric unit:
Ba (0.0042, 0.0177, 0.2498)  8 O 2.70-3.01
Eu (0.4962, 0.5274, 0.2511)  6 O 2.58-2.88
Y (0.0000, 0.5000, 0.5000)  6 O 2.24-2.27
Y (0.5000, 0.0000, 0.0000)  6 O 2.25-2.27
Sb (0.0000, 0.5000, 0.0000)  6 O 2.01-2.03
Sb (0.5000, 0.0000, 0.5000)  6 O 2.01-2.03
O (0.0734, 0.5022, 0.7647)  1 Sb 2.03, 1 Y 2.27
O (0.2114, 0.7605, 0.0316)  1 Sb 2.01, 1 Y 2.25
O (0.2403, 0.7866, 0.4721)  1 Sb 2.01, 1 Y 2.24
O (0.2660, 0.2950, 0.0367)  1 Sb 2.03, 1 Y 2.27
O (0.2978, 0.2690, 0.4661)  1 Sb 2.03, 1 Y 2.27
O (0.4492, 0.0227, 0.7360)  1 Sb 2.02, 1 Y 2.25

## Properties
Calculated formation energy (meV/atom): -3050